Record 1
The following is a DFT calculation (PBE-GGA) of an optimized crystal structure of LiSnH6N3.

Properties
total energy after the MP2020 corrections	-5.096	eV per atom
final energy	-219.9	eV for the cell shown
calculated formation energy	-0.43	eV/atom
volume	14.1	Å³/atom

```
LiSnH6N3
1.0
8.8074 0.0000 0.0000
0.0000 7.7850 0.0000
-8.0364 0.0000 9.0471
Li Sn H N
4 4 24 12
Direct
0.1309 0.0090 0.4749
0.1309 0.4910 0.9749
0.8691 0.5090 0.0251
0.8691 0.9910 0.5251
0.1777 0.6631 0.7111
0.1777 0.8369 0.2111
0.8223 0.1631 0.7889
0.8223 0.3369 0.2889
0.1696 0.6998 0.4134
0.1696 0.8002 0.9134
0.1888 0.2250 0.8698
0.1888 0.2750 0.3698
0.2258 0.1625 0.0145
0.2258 0.3375 0.5145
0.2420 0.0129 0.7563
0.2420 0.4871 0.2563
0.3779 0.5678 0.2248
0.3779 0.6917 0.9991
0.3779 0.8083 0.4991
0.3779 0.9322 0.7248
0.6221 0.0678 0.2752
0.6221 0.1917 0.5009
0.6221 0.3083 0.0009
0.6221 0.4322 0.7752
0.7580 0.5129 0.7437
0.7580 0.9871 0.2437
0.7742 0.6625 0.4855
0.7742 0.8375 0.9855
0.8112 0.7250 0.6302
0.8112 0.7750 0.1302
0.8304 0.1998 0.0866
0.8304 0.3002 0.5866
0.1382 0.2416 0.9244
0.1382 0.2584 0.4244
0.2240 0.6847 0.9118
0.2240 0.8153 0.4118
0.2325 0.5673 0.1846
0.2325 0.9327 0.6846
0.7675 0.0673 0.3154
0.7675 0.4327 0.8154
0.7760 0.1847 0.5882
0.7760 0.3153 0.0882
0.8618 0.7416 0.5756
0.8618 0.7584 0.0756
```


Record 2
The following is a DFT calculation (PBE-GGA) of an optimized crystal structure of NaTaGe3P6O24.

Properties
total energy after the MP2020 corrections	-7.689	eV per atom
final energy	-757.9	eV for the cell shown
calculated formation energy	-2.60	eV/atom
volume	12.9	Å³/atom

```
NaTaGe3P6O24
1.0
8.4539 0.0000 0.0000
-4.2269 7.3213 0.0000
0.0000 0.0000 21.9616
Na Ta Ge P O
3 3 9 18 72
Direct
0.0000 0.0000 0.0000
0.0000 0.0000 0.4983
0.3333 0.6667 0.1623
0.3333 0.6667 0.3106
0.3333 0.6667 0.8097
0.6667 0.3333 0.6883
0.0000 0.0000 0.1435
0.0000 0.0000 0.3523
0.0000 0.0000 0.6424
0.0000 0.0000 0.8556
0.3333 0.6667 0.0198
0.3333 0.6667 0.5202
0.6667 0.3333 0.1867
0.6667 0.3333 0.4774
0.6667 0.3333 0.9786
0.9999 0.2727 0.7490
0.0403 0.3738 0.4183
0.0406 0.6655 0.9187
0.2729 0.0001 0.7490
0.2861 0.2757 0.2471
0.3345 0.3751 0.9187
0.3335 0.9597 0.4183
0.3752 0.3344 0.5795
0.3812 0.0475 0.0823
0.6249 0.9594 0.9187
0.6262 0.6665 0.4183
0.6656 0.0408 0.5795
0.6663 0.6188 0.0823
0.7243 0.0104 0.2471
0.7273 0.7271 0.7490
0.9525 0.3337 0.0823
0.9592 0.6248 0.5795
0.9896 0.7139 0.2471
0.0246 0.1847 0.4091
0.0248 0.8393 0.9105
0.0373 0.8360 0.1902
0.0380 0.1986 0.6908
0.1283 0.6347 0.8610
0.1285 0.4936 0.3607
0.1451 0.5065 0.0755
0.1458 0.6402 0.5726
0.1601 0.9754 0.4091
0.1607 0.1855 0.9105
0.1606 0.9620 0.6908
0.1630 0.6940 0.2551
0.1640 0.2012 0.1902
0.1675 0.4649 0.7572
0.1676 0.4588 0.4737
0.1677 0.7083 0.9744
0.1852 0.1608 0.5877
0.1883 0.0274 0.0887
0.1986 0.0380 0.8073
0.2044 0.1639 0.3058
0.2912 0.8324 0.4737
0.2917 0.4594 0.9744
0.2974 0.8325 0.7572
0.3060 0.4690 0.2551
0.3598 0.5056 0.5726
0.3614 0.8549 0.0755
0.3653 0.4936 0.8610
0.3650 0.8715 0.3607
0.4597 0.2918 0.5242
0.4613 0.1663 0.0249
0.4649 0.1675 0.7410
0.4759 0.2988 0.2393
0.4933 0.3652 0.6373
0.4935 0.6386 0.0755
0.4944 0.8542 0.5726
0.4994 0.1270 0.1399
0.5052 0.1454 0.4255
0.5055 0.3596 0.9258
0.5064 0.6350 0.3607
0.5064 0.8717 0.8610
0.5310 0.8370 0.2551
0.5351 0.7026 0.7572
0.5412 0.7088 0.4737
0.5406 0.8323 0.9744
0.6276 0.5006 0.1399
0.6348 0.1281 0.6373
0.6404 0.1458 0.9258
0.6402 0.4948 0.4255
0.7012 0.1770 0.2393
0.7026 0.5351 0.7410
0.7049 0.5387 0.0249
0.7082 0.1679 0.5242
0.7988 0.9627 0.1902
0.8014 0.8394 0.6908
0.8153 0.8399 0.4091
0.8145 0.9752 0.9105
0.8230 0.5241 0.2393
0.8325 0.2974 0.7410
0.8321 0.5403 0.5242
0.8337 0.2951 0.0249
0.8361 0.0406 0.3058
0.8392 0.0244 0.5877
0.8393 0.8014 0.8073
0.8391 0.8117 0.0887
0.8542 0.4945 0.9258
0.8546 0.3598 0.4255
0.8719 0.5067 0.6373
0.8730 0.3724 0.1399
0.9594 0.7956 0.3058
0.9620 0.1607 0.8073
0.9726 0.1609 0.0887
0.9756 0.8148 0.5877
```


Record 3
The following is a DFT calculation (PBE-GGA) of an optimized crystal structure of EuNi10P6.

Properties
final energy	-222.8	eV for the cell shown
calculated formation energy	-0.64	eV/atom
volume	13.2	Å³/atom

```
EuNi10P6
1.0
3.1947 -8.0538 0.0000
3.1947 8.0538 0.0000
0.0000 0.0000 8.7366
Eu Ni P
2 20 12
Direct
0.0000 0.0000 0.0000
0.5000 0.5000 0.5000
0.0280 0.3739 0.4701
0.0434 0.9566 0.6190
0.0878 0.4122 0.7500
0.1261 0.4720 0.0299
0.2072 0.7928 0.7894
0.2928 0.7072 0.2894
0.3739 0.0280 0.5299
0.4122 0.0878 0.2500
0.4566 0.5434 0.1190
0.4720 0.1261 0.9701
0.5280 0.8739 0.0299
0.5434 0.4566 0.8810
0.5878 0.9122 0.7500
0.6261 0.9720 0.4701
0.7072 0.2928 0.7106
0.7928 0.2072 0.2106
0.8739 0.5280 0.9701
0.9122 0.5878 0.2500
0.9566 0.0434 0.3810
0.9720 0.6261 0.5299
0.0905 0.9095 0.3713
0.1452 0.3548 0.2500
0.2086 0.7914 0.0733
0.2914 0.7086 0.5733
0.3548 0.1452 0.7500
0.4095 0.5905 0.8713
0.5905 0.4095 0.1287
0.6452 0.8548 0.2500
0.7086 0.2914 0.4267
0.7914 0.2086 0.9267
0.8548 0.6452 0.7500
0.9095 0.0905 0.6287
```


Record 4
The following is a DFT calculation (PBE-GGA) of an optimized crystal structure of Ba7Sn3S13.

Properties
total energy after the MP2020 corrections	-5.200	eV per atom
final energy	-452.3	eV for the cell shown
calculated formation energy	-1.76	eV/atom
volume	29.9	Å³/atom

```
Ba7Sn3S13
1.0
12.4705 0.0000 0.0000
0.0000 24.4147 0.0000
0.0000 0.0000 9.0361
Ba Sn S
28 12 52
Direct
0.0222 0.1581 0.0902
0.0222 0.3419 0.0902
0.1443 0.7500 0.3959
0.1572 0.1550 0.6031
0.1572 0.3450 0.6031
0.1881 0.5329 0.6183
0.1881 0.9671 0.6183
0.3119 0.0329 0.1183
0.3119 0.4671 0.1183
0.3428 0.6550 0.1031
0.3428 0.8450 0.1031
0.3557 0.2500 0.8959
0.4778 0.6581 0.5902
0.4778 0.8419 0.5902
0.5222 0.1581 0.4098
0.5222 0.3419 0.4098
0.6443 0.7500 0.1041
0.6572 0.1550 0.8969
0.6572 0.3450 0.8969
0.6881 0.5329 0.8817
0.6881 0.9671 0.8817
0.8119 0.0329 0.3817
0.8119 0.4671 0.3817
0.8428 0.6550 0.3969
0.8428 0.8450 0.3969
0.8557 0.2500 0.6041
0.9778 0.6581 0.9098
0.9778 0.8419 0.9098
0.0486 0.5517 0.1993
0.0486 0.9483 0.1993
0.2427 0.2500 0.3057
0.2573 0.7500 0.8057
0.4514 0.0517 0.6993
0.4514 0.4483 0.6993
0.5486 0.5517 0.3007
0.5486 0.9483 0.3007
0.7427 0.2500 0.1943
0.7573 0.7500 0.6943
0.9514 0.0517 0.8007
0.9514 0.4483 0.8007
0.0510 0.2500 0.3586
0.0776 0.0370 0.3098
0.0776 0.4630 0.3098
0.0893 0.6204 0.3831
0.0893 0.8796 0.3831
0.1057 0.2500 0.8275
0.1372 0.0716 0.8594
0.1372 0.4284 0.8594
0.1525 0.7500 0.0308
0.1631 0.5708 0.9908
0.1631 0.9292 0.9908
0.2201 0.6685 0.6732
0.2201 0.8315 0.6732
0.2799 0.1685 0.1732
0.2799 0.3315 0.1732
0.3369 0.0708 0.4908
0.3369 0.4292 0.4908
0.3475 0.2500 0.5308
0.3628 0.5716 0.3594
0.3628 0.9284 0.3594
0.3943 0.7500 0.3275
0.4107 0.1204 0.8831
0.4107 0.3796 0.8831
0.4224 0.5370 0.8098
0.4224 0.9630 0.8098
0.4490 0.7500 0.8586
0.5510 0.2500 0.1414
0.5776 0.0370 0.1902
0.5776 0.4630 0.1902
0.5893 0.6204 0.1169
0.5893 0.8796 0.1169
0.6057 0.2500 0.6725
0.6372 0.0716 0.6406
0.6372 0.4284 0.6406
0.6525 0.7500 0.4692
0.6631 0.5708 0.5092
0.6631 0.9292 0.5092
0.7201 0.6685 0.8268
0.7201 0.8315 0.8268
0.7799 0.1685 0.3268
0.7799 0.3315 0.3268
0.8369 0.0708 0.0092
0.8369 0.4292 0.0092
0.8475 0.2500 0.9692
0.8628 0.5716 0.1406
0.8628 0.9284 0.1406
0.8943 0.7500 0.1725
0.9107 0.1204 0.6169
0.9107 0.3796 0.6169
0.9224 0.5370 0.6902
0.9224 0.9630 0.6902
0.9490 0.7500 0.6414
```


Record 5
The following is a DFT calculation (PBE-GGA) of an optimized crystal structure of La4S7.

Properties
total energy after the MP2020 corrections	-6.681	eV per atom
final energy	-70.0	eV for the cell shown
calculated formation energy	-2.25	eV/atom
volume	24.4	Å³/atom

```
La4S7
1.0
-2.8843 2.8843 8.0536
2.8843 -2.8843 8.0536
2.8843 2.8843 -8.0536
La S
4 7
Direct
0.1091 0.6200 0.0000
0.3800 0.3800 0.4891
0.6200 0.1091 0.0000
0.8909 0.8909 0.5109
0.0000 0.0000 0.0000
0.0000 0.5000 0.5000
0.0769 0.0769 0.5150
0.4380 0.9231 0.0000
0.5000 0.0000 0.5000
0.5620 0.5620 0.4850
0.9231 0.4380 0.0000
```


Record 6
The following is a DFT calculation (PBE-GGA) of an optimized crystal structure of Li3ScF6.

Properties
total energy after the MP2020 corrections	-5.733	eV per atom
offset from the most stable computed form	0.233	eV/atom
final energy	-54.6	eV for the cell shown
calculated formation energy	-3.38	eV/atom
volume	12.5	Å³/atom

```
Li3ScF6
1.0
0.0000 3.9719 3.9719
3.9719 0.0000 3.9719
3.9719 3.9719 0.0000
Li Sc F
3 1 6
Direct
0.0000 0.0000 0.0000
0.2500 0.2500 0.2500
0.7500 0.7500 0.7500
0.5000 0.5000 0.5000
0.2479 0.2479 0.7521
0.2479 0.7521 0.2479
0.2479 0.7521 0.7521
0.7521 0.2479 0.2479
0.7521 0.2479 0.7521
0.7521 0.7521 0.2479
```


Record 7
The following is a DFT calculation (PBE-GGA) of an optimized crystal structure of Hg2CN2Cl2.

Properties
total energy after the MP2020 corrections	-4.484	eV per atom
final energy	-120.7	eV for the cell shown
calculated formation energy	-0.17	eV/atom
volume	21.7	Å³/atom

```
Hg2CN2Cl2
1.0
8.2638 0.0000 0.0000
0.0000 9.1647 0.0000
-2.4974 0.0000 8.0360
Hg C N Cl
8 4 8 8
Direct
0.0000 0.0000 0.0000
0.0000 0.0000 0.5000
0.0000 0.5000 0.0000
0.0000 0.5000 0.5000
0.3816 0.1806 0.2685
0.3816 0.3194 0.7685
0.6184 0.6806 0.2315
0.6184 0.8194 0.7315
0.3676 0.5888 0.5844
0.3676 0.9112 0.0844
0.6324 0.0888 0.9156
0.6324 0.4112 0.4156
0.2670 0.0075 0.1049
0.2670 0.4925 0.6049
0.4697 0.6726 0.5581
0.4697 0.8274 0.0581
0.5303 0.1726 0.9419
0.5303 0.3274 0.4419
0.7330 0.5075 0.3951
0.7330 0.9925 0.8951
0.0198 0.2463 0.2422
0.0198 0.2537 0.7422
0.3004 0.0214 0.5679
0.3004 0.4786 0.0679
0.6996 0.5214 0.9321
0.6996 0.9786 0.4321
0.9802 0.7463 0.2578
0.9802 0.7537 0.7578
```


Record 8
The following is a DFT calculation (PBE-GGA) of an optimized crystal structure of BaNb2O6.

Properties
total energy after the MP2020 corrections	-8.962	eV per atom
final energy	-306.2	eV for the cell shown
calculated formation energy	-3.21	eV/atom
volume	14.5	Å³/atom

```
BaNb2O6
1.0
3.9999 -6.2117 0.0000
3.9999 6.2117 0.0000
0.0000 0.0000 10.4901
Ba Nb O
4 8 24
Direct
0.0756 0.9244 0.7500
0.3690 0.6310 0.2500
0.6310 0.3690 0.7500
0.9244 0.0756 0.2500
0.0862 0.3728 0.9218
0.1356 0.4120 0.5717
0.3728 0.0862 0.0782
0.4120 0.1356 0.4283
0.5880 0.8644 0.9283
0.6272 0.9138 0.5782
0.8644 0.5880 0.0717
0.9138 0.6272 0.4218
0.0181 0.4240 0.1078
0.0204 0.4210 0.3903
0.1560 0.8386 0.3857
0.1614 0.8440 0.1143
0.1913 0.1913 0.5000
0.2005 0.2005 0.0000
0.2034 0.3654 0.7498
0.3654 0.2034 0.2502
0.3784 0.6199 0.5364
0.3801 0.6216 0.9636
0.4210 0.0204 0.6097
0.4240 0.0181 0.8922
0.5760 0.9819 0.3922
0.5790 0.9796 0.1097
0.6199 0.3784 0.4636
0.6216 0.3801 0.0364
0.6346 0.7966 0.7502
0.7966 0.6346 0.2498
0.7995 0.7995 0.5000
0.8087 0.8087 0.0000
0.8386 0.1560 0.6143
0.8440 0.1614 0.8857
0.9796 0.5790 0.8903
0.9819 0.5760 0.6078
```